No. 1
Density functional theory data (meta-GGA r2SCAN) for an optimized crystal structure of Ho5Ni2Sb.

Cell: 8.489 8.489 8.489 Å, 126.97 126.97 78.29°
Atoms (fractional coordinates):
1 Ho 0.000 0.000 0.000
2 Ho 0.020 0.520 0.812
3 Ho 0.208 0.020 0.500
4 Ho 0.292 0.792 0.812
5 Ho 0.480 0.292 0.500
6 Ho 0.500 0.500 0.000
7 Ho 0.520 0.708 0.500
8 Ho 0.708 0.208 0.188
9 Ho 0.792 0.980 0.500
10 Ho 0.980 0.480 0.188
11 Ni 0.131 0.369 0.500
12 Ni 0.369 0.869 0.239
13 Ni 0.631 0.131 0.761
14 Ni 0.869 0.631 0.500
15 Sb 0.250 0.250 0.000
16 Sb 0.750 0.750 0.000

Calculated values
SG   I4/mcm (140)

***

No. 2
Density functional theory data (meta-GGA r2SCAN) for an optimized crystal structure of HoNiSb.

Cell: 4.448 4.448 4.448 Å, 60.00 60.00 60.00°
Atoms (fractional coordinates):
1 Ho 0.000 0.000 0.000
2 Ni 0.250 0.250 0.250
3 Sb 0.500 0.500 0.500

Calculated values
SG   F-43m (216)

***

No. 3
Density functional theory data (meta-GGA r2SCAN) for an optimized crystal structure of Ho2NiSb4.

Cell: 4.304 4.304 9.285 Å, 90.00 90.00 90.00°
Atoms (fractional coordinates):
1 Ho 0.000 0.500 0.235
2 Ho 0.500 0.000 0.765
3 Ni 0.000 0.000 0.000
4 Sb 0.000 0.000 0.500
5 Sb 0.000 0.500 0.871
6 Sb 0.500 0.000 0.129
7 Sb 0.500 0.500 0.500

Calculated values
SG   P-4m2 (115)

***

No. 4
Density functional theory data (meta-GGA r2SCAN) for an optimized crystal structure of HoSi2Ni2.

Cell: 5.489 5.489 5.489 Å, 138.07 138.07 60.80°
Atoms (fractional coordinates):
1 Ho 0.000 0.000 0.000
2 Si 0.373 0.373 0.000
3 Si 0.627 0.627 0.000
4 Ni 0.250 0.750 0.500
5 Ni 0.750 0.250 0.500

Calculated values
SG   I4/mmm (139)

***

No. 5
Density functional theory data (meta-GGA r2SCAN) for an optimized crystal structure of HoSiNi.

Cell: 6.810 4.127 7.100 Å, 90.00 90.00 90.00°
Atoms (fractional coordinates):
1 Ho 0.009 0.250 0.202
2 Ho 0.491 0.750 0.702
3 Ho 0.509 0.250 0.298
4 Ho 0.991 0.750 0.798
5 Si 0.193 0.250 0.589
6 Si 0.307 0.750 0.089
7 Si 0.693 0.250 0.911
8 Si 0.807 0.750 0.411
9 Ni 0.185 0.750 0.420
10 Ni 0.315 0.250 0.920
11 Ni 0.685 0.750 0.080
12 Ni 0.815 0.250 0.580

Calculated values
SG   Pnma (62)

***

No. 6
Density functional theory data (meta-GGA r2SCAN) for an optimized crystal structure of HoSi2Ni10.

Cell: 8.077 8.077 4.629 Å, 90.00 90.00 90.00°
Atoms (fractional coordinates):
1 Ho 0.250 0.250 0.220
2 Ho 0.750 0.750 0.780
3 Si 0.000 0.000 0.500
4 Si 0.000 0.500 0.500
5 Si 0.500 0.000 0.500
6 Si 0.500 0.500 0.500
7 Ni 0.000 0.000 0.000
8 Ni 0.000 0.500 0.000
9 Ni 0.026 0.250 0.729
10 Ni 0.103 0.750 0.762
11 Ni 0.250 0.026 0.729
12 Ni 0.250 0.474 0.729
13 Ni 0.250 0.603 0.238
14 Ni 0.250 0.897 0.238
15 Ni 0.397 0.750 0.762
16 Ni 0.474 0.250 0.729
17 Ni 0.500 0.000 0.000
18 Ni 0.500 0.500 0.000
19 Ni 0.526 0.750 0.271
20 Ni 0.603 0.250 0.238
21 Ni 0.750 0.103 0.762
22 Ni 0.750 0.397 0.762
23 Ni 0.750 0.526 0.271
24 Ni 0.750 0.974 0.271
25 Ni 0.897 0.250 0.238
26 Ni 0.974 0.750 0.271

Calculated values
SG   P4/nmm (129)

***

No. 7
Density functional theory data (meta-GGA r2SCAN) for an optimized crystal structure of HoNiSn.

Cell: 7.064 4.418 7.643 Å, 90.00 90.00 90.00°
Atoms (fractional coordinates):
1 Ho 0.013 0.250 0.201
2 Ho 0.487 0.750 0.701
3 Ho 0.513 0.250 0.299
4 Ho 0.987 0.750 0.799
5 Ni 0.204 0.750 0.413
6 Ni 0.296 0.250 0.913
7 Ni 0.704 0.750 0.087
8 Ni 0.796 0.250 0.587
9 Sn 0.188 0.250 0.585
10 Sn 0.312 0.750 0.085
11 Sn 0.688 0.250 0.915
12 Sn 0.812 0.750 0.415

Calculated values
SG   Pnma (62)

***

No. 8
Density functional theory data (meta-GGA r2SCAN) for an optimized crystal structure of HoNiSn.

Cell: 7.217 7.217 3.891 Å, 90.00 90.00 120.00°
Atoms (fractional coordinates):
1 Ho 0.000 0.593 0.000
2 Ho 0.407 0.407 0.000
3 Ho 0.593 0.000 0.000
4 Ni 0.000 0.000 0.000
5 Ni 0.333 0.667 0.500
6 Ni 0.667 0.333 0.500
7 Sn 0.000 0.257 0.500
8 Sn 0.257 0.000 0.500
9 Sn 0.743 0.743 0.500

Calculated values
SG   P-62m (189)

***

no.,calculated total energy (eV/atom),formation energy from the elements (eV/atom)
1,-27.345,-0.585
2,-24.525,-1.001
3,-26.603,-0.807
4,-15.752,-0.873
5,-18.733,-0.854
6,-13.514,-0.418
7,-23.910,-0.707
8,-23.899,-0.696